No. 1
Computed, not measured: an optimized crystal structure of Ba3BiSb at the GGA-PBE level of DFT.

Output
final energy: -3.247 eV per atom

Lattice parameters (Å, degrees): 6.5864 6.5864 6.5864 90.00 90.00 90.00
With the nearest neighbours (Å) after each atom.
Sites, in units of the cell vectors:
Ba: 0.0000 0.0000 0.5000  2 Bi 3.29
Ba: 0.0000 0.5000 0.0000  2 Bi 3.29
Ba: 0.5000 0.0000 0.0000  2 Bi 3.29
Bi: 0.0000 0.0000 0.0000  6 Ba 3.29
Sb: 0.5000 0.5000 0.5000  12 Ba 4.66

No. 2
Computed, not measured: an optimized crystal structure of Eu4Bi2O at the GGA-PBE level of DFT.

Output
final energy: -9.152 eV per atom

Lattice parameters (Å, degrees): 9.3357 9.3357 9.3357 149.34 149.34 43.91
With the nearest neighbours (Å) after each atom.
Sites, in units of the cell vectors:
Eu: 0.0000 0.5000 0.5000  2 O 2.47
Eu: 0.1676 0.1676 0.0000  1 O 2.90
Eu: 0.5000 0.0000 0.5000  2 O 2.47
Eu: 0.8324 0.8324 0.0000  1 O 2.90
Bi: 0.3614 0.3614 0.0000  9 Eu 3.36-3.53
Bi: 0.6386 0.6386 0.0000  9 Eu 3.36-3.53
O: 0.0000 0.0000 0.0000  4 Eu 2.47